Computed, not measured: crystalline MgCo6O7F5 at its relaxed geometry at the PBE with a Hubbard U level of DFT.

Output
Magnetization: 15.000 μB/f.u.
Formation energy from the elements: -1644 meV/atom
Space-group type: No. 1

Cell lengths 4.9713, 5.0464, 8.7649 Å; angles 89.63, 90.11, 102.20 degrees
Closest atoms and distances in Å follow each position.
Fractional coordinates of all 19 atoms:
1 O 0.2237 0.8489 0.8217  3 Co 1.86-2.03
2 O 0.6939 0.6781 0.9982  3 Co 1.89-1.93
3 O 0.2994 0.2897 0.0053  3 Co 1.84-1.92
4 O 0.2854 0.2955 0.3151  3 Co 1.83-1.93
5 O 0.3101 0.3275 0.6749  3 Co 1.88-2.03, 1 Mg 1.97
6 O 0.7071 0.6788 0.3314  3 Co 1.85-2.04
7 O 0.2246 0.8677 0.5150  3 Co 1.86-2.03
8 Mg 0.5359 0.0496 0.6661  3 O 1.97-2.15, 3 F 1.98-2.01
9 F 0.8309 0.1574 0.8217  2 Co 1.95-2.11, 1 Mg 1.99
10 F 0.8142 0.1472 0.1598  2 Co 2.05-2.11
11 F 0.8366 0.1641 0.5166  2 Co 1.96-2.15, 1 Mg 1.98
12 F 0.7022 0.7196 0.6696  1 Co 1.97, 1 Mg 2.01
13 F 0.1861 0.8049 0.1643  2 Co 1.96-2.01
14 Co 0.0415 0.0040 0.6705  3 O 1.86-1.88, 3 F 1.95-1.97
15 Co 0.5222 0.4678 0.1684  4 O 1.83-1.92
16 Co 0.0145 0.9709 0.9977  3 O 1.91-2.03, 3 F 1.96-2.11
17 Co 0.3899 0.5481 0.4789  4 O 1.92-2.04
18 Co 0.0063 0.9668 0.3353  3 O 1.85-2.03, 1 F 2.01
19 Co 0.4172 0.5412 0.8537  4 O 1.84-2.01